(1)
CaC2: relaxed, PBE.

Geometry as extended XYZ:
```
6
Lattice="1.9213 3.5840 0.0000 -1.9213 3.5840 0.0000 0.0000 2.1678 7.1469" Properties=species:S:1:pos:R:3 pbc="T T T"
C 0.0000 7.8257 4.0367
C 0.0000 4.0476 0.4270
C 0.0000 1.5101 3.1102
C 0.0000 5.2882 6.7199
Ca 0.0000 3.0967 5.3809
Ca 0.0000 6.2391 1.7660
```



(2)
CaC2: relaxed, PBE.

Geometry as extended XYZ:
```
6
Lattice="1.8740 -4.3693 0.0000 1.8740 4.3693 0.0000 0.0000 0.0000 4.7766" Properties=species:S:1:pos:R:3 pbc="T T T"
C 1.8740 -0.5358 1.8933
C 1.8740 0.5358 2.8833
C 1.8740 0.5358 4.2816
C 1.8740 -0.5358 0.4950
Ca 1.8740 -3.0916 1.1942
Ca 1.8740 3.0916 3.5825
```



We find (1) to be the most stable, with the next structure 0.5 kJ/mol of atoms higher.



(1)
CaC2: relaxed, PBE.

Geometry as extended XYZ:
```
6
Lattice="3.7898 0.0000 0.0000 0.0000 4.8865 0.0000 0.0000 0.0000 5.3603" Properties=species:S:1:pos:R:3 pbc="T T T"
Ca 1.8949 2.4433 2.6801
Ca 0.0000 0.0000 0.0000
C 0.0000 4.2573 2.6850
C 1.8949 3.0725 0.0049
C 0.0000 0.6292 2.6753
C 1.8949 1.8141 5.3554
```



(2)
CaC2: relaxed, PBE.

Geometry as extended XYZ:
```
3
Lattice="-1.3743 -3.5313 0.8640 4.1577 0.6124 0.3750 -2.2919 1.5586 2.7246" Properties=species:S:1:pos:R:3 pbc="T T T"
Ca 0.0000 0.0000 0.0000
C 1.8662 -0.3002 1.7415
C -1.3747 -1.0601 2.2220
```



We find (1) to be the most stable, with the next structure 0.6 kJ/mol of atoms higher.



(1)
Na3CaPCO7: relaxed, PBE.

Geometry as extended XYZ:
```
26
Lattice="7.0886 0.0000 0.0000 0.0000 5.2794 0.0000 0.0000 0.0324 9.1907" Properties=species:S:1:pos:R:3 pbc="T T T"
Na 5.3164 1.2705 0.7679
Na 3.4968 1.3343 6.8136
Na 1.7721 4.0413 8.4227
Na 3.5917 3.9775 2.3771
Na 0.0474 1.3343 6.8136
Na 7.0411 3.9775 2.3771
O 1.7721 4.2473 3.9842
O 5.3164 2.8372 7.9244
O 0.5194 4.1895 6.2486
O 1.7721 2.1572 5.3900
O 6.5692 1.1222 2.9421
O 1.7721 0.2216 1.0877
O 1.7721 1.5377 8.4217
O 4.0636 1.1222 2.9421
O 5.3164 5.0902 8.1029
O 5.3164 3.1546 3.8007
O 5.3164 3.7741 0.7690
O 5.3164 1.0645 5.2064
O 3.0249 4.1895 6.2486
O 1.7721 2.4746 1.2662
Ca 5.3164 4.0973 5.8707
Ca 1.7721 1.2145 3.3199
C 1.7721 1.3993 0.5200
C 5.3164 3.9125 8.6707
P 1.7721 3.7144 5.4521
P 5.3164 1.5974 3.7386
```



(2)
Na3CaPCO7: relaxed, PBE.

Geometry as extended XYZ:
```
26
Lattice="6.8865 0.0000 0.0000 0.0000 5.3329 0.0000 0.0000 0.0643 9.1959" Properties=species:S:1:pos:R:3 pbc="T T T"
O 1.5562 3.8598 8.5808
O 1.7512 1.1288 4.1624
O 5.2874 3.7710 0.7957
O 6.4305 0.3736 6.7732
O 1.6968 2.8952 6.5438
O 1.1205 4.0481 3.7875
O 4.0288 4.9387 7.1720
O 1.8441 1.6262 8.4002
O 2.9873 5.0237 2.4227
O 5.1401 2.5020 2.6521
O 4.9995 1.5375 0.6151
O 5.1945 4.2684 5.0335
O 0.5855 0.4585 2.0239
O 4.5638 1.3492 5.4084
Na 1.3686 2.6988 1.5676
Na 6.7050 2.5279 4.7758
Na 3.3226 5.2679 0.1452
Na 6.7659 0.1294 9.0507
Na 4.8118 2.6984 7.6283
Na 3.2618 2.8693 4.4202
Ca 5.2493 5.2197 2.8421
Ca 1.8060 0.1776 6.3538
P 5.0642 0.0591 6.0992
P 1.6209 5.3381 3.0967
C 1.6952 2.7983 7.8415
C 5.1385 2.5989 1.3545
```



We find (1) to be the most stable, with the next structure 2.9 kJ/mol of atoms higher.



(1)
CaC2O5: relaxed, PBE.

Geometry as extended XYZ:
```
16
Lattice="0.2233 -5.0690 3.6042 5.8757 -0.5974 1.9631 -0.1022 2.2774 5.8537" Properties=species:S:1:pos:R:3 pbc="T T T"
C 2.4503 -3.3072 2.9576
C 0.3585 0.8438 3.5342
C 3.6488 -2.3591 2.6097
C 5.6384 -4.2327 7.8868
O 4.7653 -2.6295 3.1423
O 3.8808 -2.6918 6.0320
O 5.7831 -4.8210 6.7825
O 0.2138 1.4321 4.6384
O 2.1161 -0.6972 5.3889
O 1.2316 -0.7594 8.2786
O 3.3048 0.8807 7.6767
O 4.9204 -3.2313 8.1425
O 1.0765 -0.1576 3.2785
O 2.6921 -4.2696 3.7443
Ca 1.0580 1.1743 6.8439
Ca 4.9389 -4.5632 4.5771
```



(2)
CaC2O5: relaxed, PBE.

Geometry as extended XYZ:
```
64
Lattice="-1.2226 -5.5485 0.6130 -6.0490 1.8057 -7.6467 13.4273 -4.2430 -11.6238" Properties=species:S:1:pos:R:3 pbc="T T T"
O 5.8081 -3.2255 -17.0987
O 2.1468 -4.6236 -10.3522
O 0.3475 -4.7603 -1.5587
O -0.5846 -3.2382 -10.2690
O 0.6344 -5.4134 -11.9692
O 6.1355 -5.2275 -16.1364
O 1.1859 -2.1107 -8.5034
O 2.4243 -1.7710 -3.9362
O 9.7734 -7.4748 -11.1819
O 6.8323 -6.6790 -7.2407
O -0.6767 -1.3068 -11.4167
O 2.2481 -5.2792 -6.3346
O -2.9817 -4.3407 -8.8565
O 4.0088 -3.3623 -8.3052
O -2.4536 -0.6546 -6.6458
O 0.0202 -2.7583 -2.5210
O -0.3239 -0.3003 -3.8304
O 2.8810 -5.2548 -5.0450
O 7.5659 -4.4063 -11.3765
O 4.9697 -5.8751 -10.1540
O -1.9535 -3.8179 -4.0925
O 6.7403 -4.7476 -8.3884
O -0.2268 -5.7006 -8.9715
O 6.4796 -7.6856 -14.8270
O 12.3294 -4.8209 -12.5028
O 0.8172 -2.5209 -5.4809
O -3.6178 -0.5110 -7.4755
O -6.1737 -3.1649 -6.1546
O 10.6688 -5.5639 -13.9916
O 8.1091 -4.1679 -14.5649
O 9.1374 -3.6451 -9.8009
O 3.7313 -6.2149 -14.7212
O -1.4103 -3.5796 -7.2809
O 5.5213 -2.5725 -6.6882
O 3.9075 -2.7067 -12.3228
O 3.2747 -2.7310 -13.6124
O 5.3385 -5.4650 -13.1765
O -4.5132 -2.4219 -4.6658
O 8.6093 -7.3313 -12.0116
O 6.3824 -2.2852 -9.6859
Ca 8.2342 -3.3495 -7.2396
Ca 4.6651 -6.6292 -17.2956
Ca 1.4906 -1.3566 -1.3618
Ca 1.2177 -4.2907 -7.7899
Ca 4.9380 -3.6952 -10.8675
Ca -1.7555 -1.7181 -5.0332
Ca -2.0786 -4.6363 -11.4178
Ca 7.9111 -6.2677 -13.6242
C -2.1846 -3.9768 -8.0707
C -5.3553 -2.7789 -5.4038
C 11.5109 -5.2069 -13.2536
C -0.2681 -2.0212 -10.4660
C -0.2251 -3.9989 -2.3791
C 5.4309 -6.6014 -9.2371
C 4.7770 -2.9604 -7.5108
C 6.4238 -5.9646 -8.1914
C 1.3787 -5.0255 -11.1466
C 6.3807 -3.9870 -16.2783
C 4.5434 -5.8295 -13.9641
C 7.4965 -3.3890 -15.3390
C -1.3408 -4.5968 -3.3184
C 8.3402 -4.0090 -10.5867
C 0.7247 -1.3844 -9.4203
C 1.6122 -2.1563 -4.6933
```



We find (1) to be the most stable, with the next structure 17.6 kJ/mol of atoms higher.



(1)
CdGe4C8S10N2: relaxed, PBE.

Geometry as extended XYZ:
```
25
Lattice="7.0368 0.1357 4.7869 3.4981 -5.9564 -4.9734 -2.4711 8.1079 -4.1648" Properties=species:S:1:pos:R:3 pbc="T T T"
S 1.5965 1.3303 -5.8549
S 2.7438 0.0398 -2.0613
S 4.4437 3.4100 -5.2996
S 5.7356 -0.1606 -4.9565
S 1.7811 3.3104 -2.7120
S 1.1227 6.9362 -3.1764
S 3.4909 -3.4496 -1.9766
S 6.2828 -1.0233 -1.6392
S 7.0703 -2.3223 1.7501
S 2.5131 -2.7272 -5.5902
C 1.0699 0.8771 0.3458
C 6.6088 0.4514 3.4638
C 6.1142 1.9953 0.6327
C 5.1365 3.6764 1.2403
C 3.5386 3.0027 0.1708
C 6.9828 2.4496 -3.4356
C 5.0051 6.8883 0.6837
C 4.8771 1.9920 -0.9861
N 4.9166 2.6666 0.2644
N 0.0000 0.0000 0.0000
Ge 2.4066 5.4205 -2.1581
Ge 2.2493 3.2332 -4.9314
Ge 4.1057 -1.4608 -1.1706
Ge 7.3661 -2.6185 -0.4425
Cd 3.1472 -0.3794 -4.6157
```



(2)
CdGe4C8S10N2: relaxed, PBE.

Geometry as extended XYZ:
```
25
Lattice="2.8964 -2.3003 7.3808 0.3170 -7.8398 -2.5677 6.3577 6.2911 -5.1514" Properties=species:S:1:pos:R:3 pbc="T T T"
C 1.4027 -0.4565 -0.3171
C 5.4809 -1.4202 1.2344
C 1.1221 0.8436 -0.5531
C 5.8857 0.4186 3.2272
C 4.7381 0.4192 1.5739
C 8.1160 -4.1981 -0.5316
C 5.6169 -1.5759 3.2364
C 8.5014 -3.8869 0.7251
Ge 2.2443 -3.4808 1.1211
Ge 3.2877 -6.3037 2.8929
Ge 7.1332 2.0404 -0.9498
Ge 6.4770 0.0462 -3.7408
N 5.4304 -0.5396 2.3180
N 0.0000 0.0000 0.0000
S 4.1254 -4.6839 1.5385
S 2.5775 -5.3895 4.8229
S 5.4458 0.8349 -1.8768
S 2.5743 -1.6580 -0.4523
S 0.7917 -4.7266 -0.0636
S 8.1301 -1.3648 -3.1562
S 5.1067 -1.4741 -5.0515
S 7.6429 3.7831 -2.2798
S 2.0779 -5.5172 -3.6094
S 6.8040 -4.5882 -1.5119
Cd 4.1407 -3.3094 -2.6563
```



We find (2) to be the most stable, with the next structure 38.9 kJ/mol of atoms higher.



(1)
CdH4C4O6: relaxed, PBE.

Geometry as extended XYZ:
```
60
Lattice="-3.7232 -8.8648 -7.6060 -3.2317 -2.8214 4.8702 -7.5015 3.5839 -0.5050" Properties=species:S:1:pos:R:3 pbc="T T T"
O -1.4121 -2.0753 -0.8272
O -7.8942 -4.1039 -0.1514
O -5.4232 -8.3075 -6.4221
O -9.6320 -8.8711 -3.6248
O -3.5817 -4.1027 -2.7675
O -3.5537 -1.5994 3.0258
O -5.5547 -6.1842 -0.9548
O -5.7459 -2.2799 1.4984
O -9.0332 0.2052 3.1813
O -10.8747 -3.9996 -0.4733
O -3.4059 -4.3858 0.8358
O -8.7105 -5.8224 -4.7392
O -13.0442 -6.0270 -2.4136
O -6.6775 -7.3256 -4.1206
O -10.9027 -6.5029 -6.2666
O -6.5621 -3.9984 -3.0894
O -11.0504 -3.7165 -4.0766
O -7.7789 -0.7767 0.8798
O -4.4950 -1.7383 -1.6825
O -7.8762 -7.7432 -0.8334
O -6.5801 -0.3591 -2.4074
O -9.9613 -6.3640 -1.5583
O -4.8243 0.7688 0.3840
O -8.9016 -1.9181 -2.2860
H -7.4106 -0.9188 -2.4046
H -10.1117 -6.2554 -5.7150
H -8.6456 -7.1271 -1.1141
H -6.2450 -7.7134 -4.9364
H -2.8097 -4.4304 -2.2422
H -3.9102 -3.2490 -2.3743
H -8.2114 -0.3889 1.6956
H -4.3447 -1.8469 2.4742
H -7.4697 -6.7640 -4.4481
H -6.9866 -1.3383 1.2073
H -10.5461 -4.8533 -0.8665
H -7.0458 -7.1835 -0.8362
H -5.8108 -0.9752 -2.1267
H -2.9781 -2.3948 3.1498
H -11.4782 -5.7075 -6.3906
H -11.6466 -3.6719 -0.9986
C -2.4782 -0.1195 0.4248
C -8.7611 -4.7301 -4.1089
C -9.8232 -3.7576 -3.7918
C -8.8502 -2.9720 -3.0117
C -5.6953 -3.3722 0.8681
C -10.5649 -8.0983 -3.2909
C -7.7882 -3.9235 -3.3544
C -2.3238 -1.2827 -0.4672
C -11.9781 -7.9828 -3.6656
C -6.6682 -4.1788 0.1136
C -3.8914 -0.0040 0.0501
C -10.7198 -6.9572 -2.3742
C -12.1326 -6.8196 -2.7736
C -4.6332 -4.3447 0.5510
C -5.6061 -5.1303 -0.2291
C -3.7366 -1.1451 -0.8666
Cd -6.8598 1.0981 -0.5298
Cd -5.1019 -5.6972 -3.3506
Cd -9.3545 -2.4051 0.1098
Cd -7.5966 -9.2004 -2.7110
```



(2)
CdH4C4O6: relaxed, PBE.

Geometry as extended XYZ:
```
45
Lattice="6.1126 -5.9733 0.0000 6.1126 5.9733 0.0000 0.2754 0.0000 8.5421" Properties=species:S:1:pos:R:3 pbc="T T T"
O 6.2236 -5.0533 2.2093
O 5.2943 2.1539 0.1154
O 2.4899 2.3089 2.1834
O 1.6985 -1.4991 3.3415
O 8.6011 3.5813 6.3855
O 7.2647 3.9878 0.6857
O 3.8995 -3.5813 2.1566
O 10.0107 -2.3089 6.3588
O 10.7059 -1.4273 3.3053
O 5.2358 -3.9878 7.8565
O 10.8021 1.4991 5.2006
O 2.3266 1.0654 7.9121
O 8.5458 0.8099 8.5025
O 1.7946 1.4273 5.2368
O 3.9548 -0.8099 0.0396
O 7.2062 -2.1539 8.4267
O 10.1739 -1.0654 0.6300
O 6.2769 5.0533 6.3329
H 6.0498 -3.4469 8.0309
H 10.4568 -1.0629 1.5817
H 5.4121 -4.5098 2.0313
H 9.6100 -0.2674 0.4617
H 7.0259 -4.4991 2.0289
H 5.2134 -4.2317 6.8956
H 2.8906 0.2674 8.0805
H 6.4508 3.4469 0.5112
H 5.4747 4.4991 6.5132
H 2.0438 1.0629 6.9604
H 7.0885 4.5098 6.5109
H 7.2872 4.2317 1.6465
C 3.5074 -3.2538 3.3121
C 5.1405 -0.3760 0.0170
C 5.7368 0.9724 0.0496
C 8.9931 3.2538 5.2300
C 9.9434 -2.2814 3.8394
C 2.8816 2.6876 3.3227
C 7.3600 0.3760 8.5252
C 2.5142 -2.3116 3.8603
C 9.9863 2.3116 4.6818
C 2.5572 2.2814 4.7027
C 6.7637 -0.9724 8.4926
C 9.6189 -2.6876 5.2195
Cd 0.1377 0.0000 4.2711
Cd 3.0563 2.9866 0.0000
Cd 3.0563 -2.9866 0.0000
```



We find (2) to be the most stable, with the next structure 1.1 kJ/mol of atoms higher.



(1)
CdC2N2: relaxed, PBE.

Geometry as extended XYZ:
```
10
Lattice="6.4626 0.0000 0.0000 0.0000 6.4626 0.0000 0.0000 0.0000 6.4626" Properties=species:S:1:pos:R:3 pbc="T T T"
C 5.1720 5.1720 1.2906
C 1.2906 5.1720 5.1720
C 1.2906 1.2906 1.2906
C 5.1720 1.2906 5.1720
N 4.4980 4.4980 1.9646
N 4.4980 1.9646 4.4980
N 1.9646 4.4980 4.4980
N 1.9646 1.9646 1.9646
Cd 3.2313 3.2313 3.2313
Cd 0.0000 0.0000 0.0000
```



(2)
CdC2N2: relaxed, PBE.

Geometry as extended XYZ:
```
10
Lattice="6.4829 0.0000 0.0000 0.0000 6.4829 0.0000 0.0000 0.0000 6.4303" Properties=species:S:1:pos:R:3 pbc="T T T"
C 1.9206 1.9206 6.0749
C 4.5623 4.5623 6.0749
C 1.3209 5.1620 2.8598
C 5.1620 1.3209 2.8598
N 5.2383 5.2383 0.3141
N 4.4861 1.9968 3.5293
N 1.9968 4.4861 3.5293
N 1.2447 1.2447 0.3141
Cd 3.2415 3.2415 4.9053
Cd 0.0000 0.0000 1.6901
```



We find (2) to be the most stable, with the next structure 0.7 kJ/mol of atoms higher.